1.
SnIBr after structural relaxation, computed with GGA-PBE.

Lattice parameters (Å, degrees): 8.9169 4.4403 11.5990 90.00 90.00 90.00
Closest atoms and distances in Å follow each position.
Space group Pnma (No. 62)
One atom of each set of equivalent atoms:
Sn1 0.1222 0.2500 0.1471 (multiplicity 4)  3 Br 2.81-3.15, 2 I 3.12
I1 0.0106 0.2500 0.6942 (multiplicity 4)  2 Sn 3.12
Br1 0.1624 0.7500 0.9573 (multiplicity 4)  3 Sn 2.81-3.15

---

2.
In4Br7 after structural relaxation, computed with GGA-PBE.

Lattice parameters (Å, degrees): 7.8167 7.8167 47.6217 90.00 90.00 120.00
Closest atoms and distances in Å follow each position.
Space group R-3m (No. 166, hexagonal axes)
One atom of each set of equivalent atoms:
In1 0.0000 0.0000 0.0000 (multiplicity 3)  6 Br 2.72
In2 0.0000 0.0000 0.0829 (multiplicity 6)  4 Br 3.25-3.42
In3 0.0000 0.0000 0.2082 (multiplicity 6)  4 Br 2.54
In4 0.0000 0.0000 0.3489 (multiplicity 6)  3 Br 3.26
In5 0.0000 0.0000 0.5000 (multiplicity 3)  6 Br 3.54
Br1 0.0000 0.0000 0.1547 (multiplicity 6)  1 In 2.54
Br2 0.0054 0.5027 0.6337 (multiplicity 18)  1 In 2.72
Br3 0.0205 0.5102 0.1072 (multiplicity 18)  1 In 2.54

---

3.
In4Br7 after structural relaxation, computed with GGA-PBE.

Lattice parameters (Å, degrees): 13.5845 7.7119 31.9880 90.00 98.66 90.00
Closest atoms and distances in Å follow each position.
Space group C2/c (No. 15)
One atom of each set of equivalent atoms:
In1 0.0000 0.1995 0.2500 (multiplicity 4)  8 Br 3.52-3.71
In2 0.0709 0.2479 0.4728 (multiplicity 8)  6 Br 3.31-3.66
In3 0.1419 0.2275 0.6847 (multiplicity 8)  4 Br 2.52-2.55
In4 0.2084 0.2496 0.8750 (multiplicity 8)  5 Br 3.24-3.59
In5 0.2500 0.2500 0.0000 (multiplicity 4)  6 Br 2.71-2.72
Br1 0.0232 0.0091 0.1519 (multiplicity 8)  1 In 2.55
Br2 0.0704 0.4769 0.1643 (multiplicity 8)  1 In 2.52
Br3 0.0715 0.2978 0.9507 (multiplicity 8)  1 In 2.71
Br4 0.1580 0.1656 0.7638 (multiplicity 8)  1 In 2.55
Br5 0.1626 0.0256 0.0486 (multiplicity 8)  1 In 2.72
Br6 0.1886 0.3100 0.3383 (multiplicity 8)  1 In 2.54
Br7 0.2078 0.4841 0.5497 (multiplicity 8)  1 In 2.71

---

4.
InBr2 after structural relaxation, computed with GGA-PBE.

Lattice parameters (Å, degrees): 8.0691 10.7008 10.7792 90.00 90.00 90.00
Closest atoms and distances in Å follow each position.
Space group Pnna (No. 52)
One atom of each set of equivalent atoms:
In1 0.1761 0.2500 0.2500 (multiplicity 4)  8 Br 3.48-3.57
In2 0.2500 0.0000 0.6815 (multiplicity 4)  4 Br 2.55-2.56
Br1 0.0018 0.5445 0.3185 (multiplicity 8)  1 In 2.56
Br2 0.1557 0.6852 0.9502 (multiplicity 8)  1 In 2.55

---

Number 1: energy of formation -2.44 eV per formula unit. Number 2: energy of formation -12.11 eV per formula unit. Number 3: energy of formation -12.18 eV per formula unit. Number 4: energy of formation -3.46 eV per formula unit.